[1]
A geometry-optimized Mg149Ta structure. Source: Materials Project, functional GGA-PBE.

Lattice parameters (Å, degrees): 15.941 15.941 15.624 90.00 90.00 120.00
Atoms (fractional coordinates):
1 Mg 0.067 0.533 0.834
2 Mg 0.800 0.200 0.667
3 Mg 0.065 0.533 0.500
4 Mg 0.867 0.333 0.833
5 Mg 0.000 0.600 0.333
6 Mg 0.266 0.333 0.166
7 Mg 0.801 0.000 0.669
8 Mg 0.400 0.200 0.333
9 Mg 0.067 0.933 0.500
10 Mg 0.067 0.533 0.166
11 Mg 0.199 0.000 0.331
12 Mg 0.000 0.602 0.000
13 Mg 0.467 0.734 0.500
14 Mg 0.400 0.600 0.000
15 Mg 0.801 0.801 0.669
16 Mg 0.400 0.400 0.333
17 Mg 0.400 0.600 0.667
18 Mg 0.067 0.333 0.834
19 Mg 0.806 0.806 0.000
20 Mg 0.066 0.734 0.500
21 Mg 0.467 0.935 0.500
22 Mg 0.866 0.134 0.834
23 Mg 0.266 0.734 0.500
24 Mg 0.199 0.000 0.669
25 Mg 0.467 0.533 0.500
26 Mg 0.800 0.600 0.333
27 Mg 0.467 0.933 0.166
28 Mg 0.000 0.199 0.669
29 Mg 0.800 0.400 0.000
30 Mg 0.200 0.800 0.000
31 Mg 0.600 0.800 0.666
32 Mg 0.066 0.333 0.500
33 Mg 0.400 0.000 0.667
34 Mg 0.200 0.400 0.334
35 Mg 0.866 0.733 0.834
36 Mg 0.400 0.800 0.000
37 Mg 0.398 0.000 0.000
38 Mg 0.800 0.200 0.000
39 Mg 0.400 0.200 0.667
40 Mg 0.667 0.934 0.500
41 Mg 0.467 0.933 0.834
42 Mg 0.806 0.000 0.000
43 Mg 0.266 0.933 0.834
44 Mg 0.065 0.935 0.161
45 Mg 0.801 0.000 0.331
46 Mg 0.000 0.400 0.333
47 Mg 0.467 0.134 0.500
48 Mg 0.067 0.133 0.500
49 Mg 0.800 0.600 0.667
50 Mg 0.800 0.400 0.667
51 Mg 0.600 0.400 0.333
52 Mg 0.200 0.800 0.666
53 Mg 0.867 0.533 0.167
54 Mg 0.667 0.933 0.834
55 Mg 0.600 0.000 0.667
56 Mg 0.400 0.400 0.667
57 Mg 0.800 0.200 0.333
58 Mg 0.467 0.533 0.834
59 Mg 0.800 0.600 0.000
60 Mg 0.602 0.000 0.000
61 Mg 0.667 0.333 0.834
62 Mg 0.267 0.733 0.167
63 Mg 0.600 0.200 0.000
64 Mg 0.466 0.733 0.167
65 Mg 0.867 0.333 0.167
66 Mg 0.867 0.133 0.500
67 Mg 0.200 0.800 0.334
68 Mg 0.667 0.933 0.166
69 Mg 0.800 0.400 0.333
70 Mg 0.467 0.333 0.167
71 Mg 0.267 0.134 0.834
72 Mg 0.200 0.600 0.000
73 Mg 0.467 0.133 0.833
74 Mg 0.266 0.533 0.500
75 Mg 0.400 0.200 0.000
76 Mg 0.600 0.600 0.667
77 Mg 0.000 0.194 0.000
78 Mg 0.267 0.733 0.833
79 Mg 0.200 0.600 0.333
80 Mg 0.200 0.600 0.667
81 Mg 0.194 0.194 0.000
82 Mg 0.000 0.000 0.334
83 Mg 0.600 0.600 0.333
84 Mg 0.194 0.000 0.000
85 Mg 0.000 0.199 0.331
86 Mg 0.065 0.130 0.839
87 Mg 0.000 0.400 0.667
88 Mg 0.199 0.199 0.669
89 Mg 0.867 0.533 0.833
90 Mg 0.267 0.534 0.833
91 Mg 0.870 0.935 0.161
92 Mg 0.267 0.134 0.166
93 Mg 0.866 0.333 0.500
94 Mg 0.600 0.200 0.333
95 Mg 0.602 0.602 0.000
96 Mg 0.467 0.333 0.500
97 Mg 0.601 0.800 0.000
98 Mg 0.866 0.134 0.166
99 Mg 0.400 0.800 0.667
100 Mg 0.266 0.333 0.500
101 Mg 0.067 0.734 0.166
102 Mg 0.870 0.935 0.839
103 Mg 0.667 0.734 0.834
104 Mg 0.067 0.734 0.834
105 Mg 0.266 0.333 0.834
106 Mg 0.400 0.800 0.333
107 Mg 0.801 0.801 0.331
108 Mg 0.600 0.200 0.667
109 Mg 0.600 0.400 0.000
110 Mg 0.266 0.133 0.500
111 Mg 0.667 0.533 0.500
112 Mg 0.400 0.000 0.333
113 Mg 0.065 0.935 0.839
114 Mg 0.000 0.801 0.331
115 Mg 0.065 0.130 0.161
116 Mg 0.400 0.600 0.333
117 Mg 0.667 0.533 0.833
118 Mg 0.200 0.400 0.666
119 Mg 0.667 0.134 0.500
120 Mg 0.600 0.000 0.333
121 Mg 0.667 0.333 0.500
122 Mg 0.667 0.734 0.500
123 Mg 0.266 0.933 0.166
124 Mg 0.866 0.533 0.500
125 Mg 0.000 0.600 0.667
126 Mg 0.199 0.199 0.331
127 Mg 0.000 0.398 0.000
128 Mg 0.467 0.533 0.166
129 Mg 0.867 0.734 0.500
130 Mg 0.600 0.800 0.334
131 Mg 0.266 0.934 0.500
132 Mg 0.067 0.333 0.166
133 Mg 0.000 0.806 0.000
134 Mg 0.667 0.533 0.167
135 Mg 0.267 0.534 0.167
136 Mg 0.867 0.933 0.500
137 Mg 0.667 0.133 0.167
138 Mg 0.667 0.734 0.166
139 Mg 0.000 0.801 0.669
140 Mg 0.467 0.333 0.833
141 Mg 0.000 0.000 0.666
142 Mg 0.866 0.733 0.166
143 Mg 0.667 0.133 0.833
144 Mg 0.398 0.398 0.000
145 Mg 0.200 0.399 0.000
146 Mg 0.667 0.333 0.166
147 Mg 0.466 0.733 0.833
148 Mg 0.467 0.133 0.167
149 Mg 0.600 0.400 0.667
150 Ta 0.000 0.000 0.000

Values from the calculation:
The space group is P-6m2, No. 187. As for the calculated total energy: -1.68 eV per atom.

=====

[2]
A geometry-optimized MgTaZn structure. Source: Materials Project, functional GGA-PBE.

Lattice parameters (Å, degrees): 4.350 4.350 4.350 60.00 60.00 60.00
Atoms (fractional coordinates):
1 Mg 0.000 0.000 0.000
2 Zn 0.750 0.750 0.750
3 Ta 0.500 0.500 0.500

Values from the calculation:
The space group is F-43m, No. 216. As for the calculated total energy: -4.25 eV per atom.

=====

[3]
A geometry-optimized TbMg2 structure. Source: Materials Project, functional GGA-PBE.

Lattice parameters (Å, degrees): 6.073 6.073 9.804 90.00 90.00 120.00
Atoms (fractional coordinates):
1 Mg 0.829 0.658 0.750
2 Mg 0.000 0.000 0.500
3 Mg 0.829 0.171 0.750
4 Mg 0.171 0.829 0.250
5 Mg 0.000 0.000 0.000
6 Mg 0.342 0.171 0.750
7 Mg 0.171 0.342 0.250
8 Mg 0.658 0.829 0.250
9 Tb 0.667 0.333 0.435
10 Tb 0.333 0.667 0.935
11 Tb 0.333 0.667 0.565
12 Tb 0.667 0.333 0.065

Values from the calculation:
The space group is P6_3/mmc, No. 194. As for the calculated total energy: -2.68 eV per atom.